Record 1
First-principles (PBE with a Hubbard U) data for a relaxed Li4Mn3F10 crystal, as listed in the Materials Project database.

Values from the calculation:
Energy above the lowest structure with this stoichiometry: 0.73 eV per formula unit
Symmetry: No. 2
Total energy: -5.602 eV/atom
Corrected total energy (MP2020 scheme): -104.9 eV per cell
Formation enthalpy at 0 K: -50.592 eV/f.u.
Total magnetic moment: 15.00 μB per cell

a = 5.1963 Å, b = 5.5064 Å, c = 7.7413 Å
α = 71.25°, β = 74.31°, γ = 78.06°
Closest atoms and distances in Å follow each position.
Element x y z (fractional)
Mn1 0.1779 0.2414 0.1443  7 F 2.11-2.35
Mn2 0.5000 0.0000 0.5000  6 F 2.11-2.20
Mn3 0.8221 0.7586 0.8557  7 F 2.11-2.35
F1 0.5000 0.0000 0.0000  2 Li 2.11, 2 Mn 2.20
F2 0.6990 0.1500 0.6406  2 Li 1.91-1.98, 1 Mn 2.12
F3 0.5000 0.5000 0.0000  2 Li 1.97
F4 0.8941 0.5965 0.1558  2 Li 1.92-1.98
F5 0.7531 0.6381 0.6103  3 Li 2.04-2.15, 1 Mn 2.20
F6 0.2469 0.3619 0.3897  3 Li 2.04-2.15, 1 Mn 2.20
F7 0.1712 0.9441 0.7321  1 Li 1.92, 2 Mn 2.11
F8 0.8288 0.0559 0.2679  1 Li 1.92, 2 Mn 2.11
F9 0.3010 0.8500 0.3594  2 Li 1.91-1.98, 1 Mn 2.12
F10 0.1059 0.4035 0.8442  2 Li 1.92-1.98
Li1 0.4923 0.3619 0.7961  4 F 1.91-2.11
Li2 0.5077 0.6381 0.2039  4 F 1.91-2.11
Li3 0.9913 0.7040 0.3478  5 F 1.92-2.06
Li4 0.0087 0.2960 0.6522  5 F 1.92-2.06

=====

Record 2
First-principles (PBE with a Hubbard U) data for a relaxed Li3Co2RuO6 crystal, as listed in the Materials Project database.

Values from the calculation:
Symmetry: No. 15
Total energy: -5.999 eV/atom
Corrected total energy (MP2020 scheme): -158.8 eV per cell
Formation enthalpy at 0 K: -20.485 eV/f.u.
Total magnetic moment: 5.19 μB per cell

a = 5.2030 Å, b = 5.2029 Å, c = 9.8766 Å
α = 94.85°, β = 85.15°, γ = 60.36°
Closest atoms and distances in Å follow each position.
Element x y z (fractional)
O1 0.8755 0.1382 0.3664  1 Ru 2.01, 2 Co 2.09-2.13, 3 Li 2.14-2.23
O2 0.5659 0.7728 0.3637  1 Ru 2.00, 2 Co 2.08-2.13, 2 Li 2.13-2.16
O3 0.4583 0.1947 0.6335  1 Ru 2.01, 2 Co 2.09-2.13, 3 Li 2.14-2.22
O4 0.7676 0.5605 0.6362  1 Ru 2.00, 2 Co 2.08-2.12, 2 Li 2.13-2.16
O5 0.6947 0.9583 0.8665  1 Ru 2.01, 2 Co 2.09-2.13, 3 Li 2.14-2.23
O6 0.2728 0.0659 0.1363  1 Ru 2.00, 2 Co 2.08-2.13, 2 Li 2.13-2.16
O7 0.9523 0.6965 0.1311  1 Ru 2.01, 3 Li 2.10-2.22, 2 Co 2.11-2.12
O8 0.1366 0.8813 0.6314  1 Ru 2.01, 3 Li 2.11-2.22, 2 Co 2.11-2.12
O9 0.0605 0.2676 0.8638  1 Ru 2.00, 2 Co 2.08-2.12, 2 Li 2.13-2.16
O10 0.3813 0.6366 0.8686  1 Ru 2.01, 3 Li 2.11-2.22, 2 Co 2.11-2.12
O11 0.6382 0.3755 0.1337  1 Ru 2.01, 2 Co 2.09-2.13, 3 Li 2.14-2.23
O12 0.1965 0.4523 0.3689  1 Ru 2.01, 3 Li 2.10-2.22, 2 Co 2.11-2.12
Ru1 0.4159 0.9159 0.7500  6 O 2.00-2.01
Ru2 0.9177 0.4176 0.2500  6 O 2.00-2.01
Co1 0.5836 0.0836 0.2500  6 O 2.08-2.12
Co2 0.7497 0.2497 0.7500  6 O 2.08-2.12
Co3 0.2476 0.7476 0.2500  6 O 2.11-2.13
Co4 0.0854 0.5854 0.7500  6 O 2.11-2.13
Li1 0.6667 0.6666 0.0000  6 O 2.10-2.28
Li2 0.9991 0.0009 0.0002  6 O 2.13-2.23
Li3 0.3343 0.3325 0.9998  6 O 2.13-2.23
Li4 0.8325 0.8343 0.5002  6 O 2.13-2.23
Li5 0.1666 0.1667 0.5000  6 O 2.10-2.28
Li6 0.5009 0.4991 0.4998  6 O 2.13-2.22

=====

Record 3
First-principles (PBE with a Hubbard U) data for a relaxed Li2Ni3B3O9 crystal, as listed in the Materials Project database.

Values from the calculation:
Symmetry: No. 6
Total energy: -6.297 eV/atom
Corrected total energy (MP2020 scheme): -241.7 eV per cell
Formation enthalpy at 0 K: -35.126 eV/f.u.
Total magnetic moment: 2.01 μB per cell

a = 6.0785 Å, b = 8.1033 Å, c = 8.1084 Å
α = 60.15°, β = 90.00°, γ = 90.00°
Closest atoms and distances in Å follow each position.
Element x y z (fractional)
O1 0.0000 0.4002 0.4601  1 B 1.37
O2 0.5000 0.7495 0.7806  1 B 1.39
O3 0.5000 0.4738 0.7422  1 B 1.38
O4 0.0000 0.1341 0.4128  1 B 1.39
O5 0.5000 0.7848 0.4662  1 B 1.40
O6 0.2346 0.0923 0.0996  1 B 1.37
O7 0.5000 0.1378 0.4123  1 B 1.38
O8 0.2660 0.8055 0.0914  1 B 1.38
O9 0.7491 0.1003 0.7987  1 B 1.39
O10 0.7654 0.0923 0.0996  1 B 1.37
O11 0.0000 0.4709 0.7513  1 B 1.39
O12 0.7340 0.8055 0.0914  1 B 1.38
O13 0.2509 0.1003 0.7987  1 B 1.39
O14 0.5000 0.4574 0.1412  1 B 1.38
O15 0.0000 0.4470 0.1407  1 B 1.38
O16 0.0000 0.7835 0.4755  1 B 1.38
O17 0.5000 0.4114 0.4531  1 B 1.39
O18 0.0000 0.7482 0.7885  1 B 1.40
Li1 0.0000 0.0252 0.6988  4 O 1.96-2.03
Li2 0.5000 0.6971 0.2799  4 O 1.95-2.02
Li3 0.0000 0.2793 0.0216  4 O 1.94-2.02
Li4 0.5000 0.0236 0.6996  4 O 1.95-2.03
Ni1 0.2505 0.6288 0.9900  5 O 1.98-2.12
Ni2 0.7495 0.6288 0.9900  5 O 1.98-2.12
Ni3 0.2497 0.9852 0.3764  5 O 1.96-2.08
Ni4 0.2492 0.3842 0.6333  5 O 2.01-2.09
Ni5 0.7503 0.9852 0.3764  5 O 1.96-2.08
Ni6 0.7508 0.3842 0.6333  5 O 2.01-2.09
B1 0.5000 0.3334 0.3343  3 O 1.38-1.39
B2 0.7487 0.0013 0.9957  3 O 1.37-1.39
B3 0.5000 0.6686 0.6641  3 O 1.38-1.40
B4 0.2513 0.0013 0.9957  3 O 1.37-1.39
B5 0.0000 0.3308 0.3364  3 O 1.37-1.39
B6 0.0000 0.6684 0.6701  3 O 1.38-1.40

=====

Record 4
First-principles (PBE with a Hubbard U) data for a relaxed KVTeO5 crystal, as listed in the Materials Project database.

Values from the calculation:
Symmetry: No. 14
Total energy: -6.197 eV/atom
Corrected total energy (MP2020 scheme): -218.9 eV per cell
Formation enthalpy at 0 K: -16.636 eV/f.u.
Total magnetic moment: 0.00 μB per cell

a = 11.8947 Å, b = 6.5466 Å, c = 7.0739 Å
α = 73.02°, β = 90.00°, γ = 90.00°
Closest atoms and distances in Å follow each position.
Element x y z (fractional)
O1 0.7980 0.5341 0.4517  1 V 1.65
O2 0.2020 0.4659 0.5483  1 V 1.65
O3 0.7009 0.1763 0.8309  1 V 1.67
O4 0.0897 0.1141 0.9877  1 Te 1.91
O5 0.5504 0.1927 0.1372  1 V 1.86, 1 Te 1.95
O6 0.9496 0.1927 0.6372  1 V 1.86, 1 Te 1.95
O7 0.4496 0.8073 0.8628  1 V 1.86, 1 Te 1.95
O8 0.2980 0.4659 0.0483  1 V 1.65
O9 0.7020 0.5341 0.9517  1 V 1.65
O10 0.4831 0.5335 0.2805  1 V 1.81
O11 0.0169 0.5335 0.7805  1 V 1.81
O12 0.7991 0.1763 0.3309  1 V 1.67
O13 0.0504 0.8073 0.3628  1 V 1.86, 1 Te 1.95
O14 0.9103 0.8859 0.0123  1 Te 1.91
O15 0.5169 0.4665 0.7195  1 V 1.81
O16 0.2991 0.8237 0.1691  1 V 1.67
O17 0.9831 0.4665 0.2195  1 V 1.81
O18 0.2009 0.8237 0.6691  1 V 1.67
O19 0.4103 0.1141 0.4877  1 Te 1.91
O20 0.5897 0.8859 0.5123  1 Te 1.91
K1 0.8124 0.8224 0.6636  6 O 2.68-2.88
K2 0.6876 0.8224 0.1636  6 O 2.68-2.88
K3 0.1876 0.1776 0.3364  6 O 2.68-2.88
K4 0.3124 0.1776 0.8364  6 O 2.68-2.88
V1 0.3786 0.6514 0.0940  3 O 1.65-1.81
V2 0.1214 0.6514 0.5940  3 O 1.65-1.81
V3 0.6214 0.3486 0.9060  3 O 1.65-1.81
V4 0.8786 0.3486 0.4060  3 O 1.65-1.81
Te1 0.0537 0.7637 0.1019  3 O 1.91-2.06
Te2 0.4463 0.7637 0.6019  3 O 1.91-2.06
Te3 0.5537 0.2363 0.3981  3 O 1.91-2.06
Te4 0.9463 0.2363 0.8981  3 O 1.91-2.06

=====

Record 5
First-principles (PBE with a Hubbard U) data for a relaxed Li9Mn2Co5O16 crystal, as listed in the Materials Project database.

Values from the calculation:
Energy above the lowest structure with this stoichiometry: 1.45 eV per formula unit
Symmetry: No. 12
Total energy: -5.809 eV/atom
Corrected total energy (MP2020 scheme): -208.4 eV per cell
Formation enthalpy at 0 K: -58.204 eV/f.u.
Total magnetic moment: 8.00 μB per cell

a = 6.5175 Å, b = 6.5175 Å, c = 10.3234 Å
α = 59.57°, β = 59.57°, γ = 52.44°
Closest atoms and distances in Å follow each position.
Element x y z (fractional)
Co1 0.9937 0.4899 0.2617  5 O 1.93-2.05
Co2 0.4899 0.9937 0.2617  5 O 1.93-2.05
Co3 0.5101 0.0063 0.7383  5 O 1.93-2.05
Co4 0.0063 0.5101 0.7383  5 O 1.93-2.05
Co5 0.5000 0.5000 0.5000  6 O 1.90-1.94
O1 0.3835 0.3835 0.7280  3 Co 1.94-2.02, 2 Li 2.07
O2 0.1402 0.1402 0.7441  2 Co 1.98, 3 Li 2.04-2.17, 1 Mn 2.19
O3 0.3867 0.8505 0.4938  2 Co 1.90-1.98, 3 Li 2.05-2.10
O4 0.1412 0.1412 0.2426  2 Co 1.93, 3 Li 2.06-2.14
O5 0.6334 0.1389 0.0001  2 Mn 1.95-1.97, 2 Li 2.12-2.17
O6 0.8611 0.3666 0.9999  2 Mn 1.95-1.97, 2 Li 2.12-2.17
O7 0.8588 0.8588 0.7574  2 Co 1.93, 3 Li 2.06-2.14
O8 0.1389 0.6334 0.0001  2 Mn 1.95-1.97, 2 Li 2.12-2.17
O9 0.8505 0.3867 0.4938  2 Co 1.90-1.98, 3 Li 2.05-2.10
O10 0.8598 0.8598 0.2559  2 Co 1.98, 3 Li 2.04-2.17, 1 Mn 2.19
O11 0.1495 0.6133 0.5062  2 Co 1.90-1.98, 3 Li 2.05-2.10
O12 0.3666 0.8611 0.9999  2 Mn 1.95-1.97, 2 Li 2.12-2.17
O13 0.6133 0.1495 0.5062  2 Co 1.90-1.98, 3 Li 2.05-2.10
O14 0.6200 0.6200 0.7682  1 Mn 1.98, 2 Co 2.05, 2 Li 2.12
O15 0.6165 0.6165 0.2720  3 Co 1.94-2.02, 2 Li 2.07
O16 0.3800 0.3800 0.2318  1 Mn 1.98, 2 Co 2.05, 2 Li 2.12
Li1 0.7490 0.2447 0.2602  6 O 2.07-2.22
Li2 0.7553 0.2510 0.7398  6 O 2.07-2.22
Li3 0.7531 0.7531 0.4951  5 O 2.04-2.20
Li4 0.2447 0.7490 0.2602  6 O 2.07-2.22
Li5 0.7489 0.7489 0.9988  5 O 2.06-2.17
Li6 0.2511 0.2511 0.0012  5 O 2.06-2.17
Li7 0.2469 0.2469 0.5049  5 O 2.04-2.20
Li8 0.2510 0.7553 0.7398  6 O 2.07-2.22
Li9 0.0000 0.0000 0.5000  6 O 2.05-2.20
Mn1 0.0000 0.0000 0.0000  6 O 1.97-2.19
Mn2 0.5000 0.5000 0.0000  6 O 1.95-1.98

=====

Record 6
First-principles (PBE with a Hubbard U) data for a relaxed BaYCo4O7 crystal, as listed in the Materials Project database.

Values from the calculation:
Energy above the lowest structure with this stoichiometry: 0.00 eV per formula unit
Symmetry: No. 36
Total energy: -6.686 eV/atom
Corrected total energy (MP2020 scheme): -196.6 eV per cell
Formation enthalpy at 0 K: -26.821 eV/f.u.
Total magnetic moment: 26.00 μB per cell

a = 6.4208 Å, b = 6.4208 Å, c = 10.3256 Å
α = 90.00°, β = 90.00°, γ = 119.61°
Closest atoms and distances in Å follow each position.
Element x y z (fractional)
Co1 0.0022 0.9978 0.5539  4 O 1.86-1.95
Co2 0.8319 0.6646 0.3104  4 O 1.94-2.01
Co3 0.6646 0.8319 0.8104  4 O 1.94-2.01
Co4 0.1700 0.8300 0.8116  4 O 1.95-2.00
Co5 0.3354 0.1681 0.3104  4 O 1.94-2.01
Co6 0.9978 0.0022 0.0539  4 O 1.86-1.95
Co7 0.8300 0.1700 0.3116  4 O 1.95-2.00
Co8 0.1681 0.3354 0.8104  4 O 1.94-2.01
O1 0.4985 0.9987 0.2521  2 Co 1.94-1.95
O2 0.5003 0.4997 0.2527  2 Co 1.95
O3 0.8295 0.6777 0.5036  2 Co 1.86-2.00
O4 0.9987 0.4985 0.7521  2 Co 1.94-1.95
O5 0.4997 0.5003 0.7527  2 Co 1.95
O6 0.0013 0.5015 0.2521  2 Co 1.94-1.95
O7 0.9984 0.0016 0.2427  4 Co 1.95-2.01
O8 0.1622 0.8378 0.0022  2 Co 1.90-1.97
O9 0.3223 0.1705 0.5036  2 Co 1.86-2.00
O10 0.0016 0.9984 0.7427  4 Co 1.95-2.01
O11 0.8378 0.1622 0.5022  2 Co 1.90-1.97
O12 0.6777 0.8295 0.0036  2 Co 1.86-2.00
O13 0.1705 0.3223 0.0036  2 Co 1.86-2.00
O14 0.5015 0.0013 0.7521  2 Co 1.94-1.95
Y1 0.6674 0.3326 0.6298  6 O 2.24-2.33
Y2 0.3326 0.6674 0.1298  6 O 2.24-2.33
Ba1 0.3362 0.6638 0.4989  12 O 3.13-3.30
Ba2 0.6638 0.3362 0.9989  12 O 3.13-3.30

=====

Record 7
First-principles (PBE with a Hubbard U) data for a relaxed Fe2C2O7 crystal, as listed in the Materials Project database.

Values from the calculation:
Energy above the lowest structure with this stoichiometry: 0.32 eV per formula unit
Symmetry: No. 14
Total energy: -7.165 eV/atom
Corrected total energy (MP2020 scheme): -352.5 eV per cell
Formation enthalpy at 0 K: -18.100 eV/f.u.
Total magnetic moment: 40.01 μB per cell

a = 6.7258 Å, b = 9.1370 Å, c = 9.6735 Å
α = 75.58°, β = 90.00°, γ = 90.00°
Closest atoms and distances in Å follow each position.
Element x y z (fractional)
O1 0.8229 0.3651 0.6604  1 C 1.27
O2 0.9870 0.8480 0.6288  1 C 1.29
O3 0.3008 0.1881 0.2425  1 C 1.33
O4 0.3746 0.9476 0.6737  3 Fe 1.94-1.98
O5 0.1771 0.6349 0.3396  1 C 1.27
O6 0.2209 0.2747 0.9340  1 C 1.27
O7 0.6254 0.0524 0.3263  3 Fe 1.94-1.98
O8 0.3038 0.5882 0.5634  1 C 1.29
O9 0.8038 0.4118 0.9366  1 C 1.29
O10 0.6771 0.3651 0.1604  1 C 1.27
O11 0.6691 0.1823 0.5724  1 C 1.35
O12 0.6992 0.8119 0.7575  1 C 1.33
O13 0.1254 0.9476 0.1737  3 Fe 1.94-1.98
O14 0.5130 0.8480 0.1288  1 C 1.29
O15 0.1962 0.5882 0.0634  1 C 1.29
O16 0.0130 0.1520 0.3712  1 C 1.29
O17 0.2791 0.2747 0.4340  1 C 1.27
O18 0.1992 0.1881 0.7425  1 C 1.33
O19 0.8746 0.0524 0.8263  3 Fe 1.94-1.98
O20 0.7209 0.7253 0.5660  1 C 1.27
O21 0.4870 0.1520 0.8712  1 C 1.29
O22 0.8008 0.8119 0.2575  1 C 1.33
O23 0.7791 0.7253 0.0660  1 C 1.27
O24 0.1691 0.8177 0.9276  1 C 1.35
O25 0.6962 0.4118 0.4366  1 C 1.29
O26 0.8309 0.1823 0.0724  1 C 1.35
O27 0.3229 0.6349 0.8396  1 C 1.27
O28 0.3309 0.8177 0.4276  1 C 1.35
C1 0.3089 0.2064 0.8515  3 O 1.27-1.33
C2 0.7654 0.3245 0.0600  3 O 1.27-1.35
C3 0.2654 0.6755 0.4400  3 O 1.27-1.35
C4 0.7346 0.3245 0.5600  3 O 1.27-1.35
C5 0.2346 0.6755 0.9400  3 O 1.27-1.35
C6 0.8089 0.7936 0.6485  3 O 1.27-1.33
C7 0.6911 0.7936 0.1485  3 O 1.27-1.33
C8 0.1911 0.2064 0.3515  3 O 1.27-1.33
Fe1 0.9391 0.2556 0.8483  5 O 1.97-2.19
Fe2 0.4391 0.7444 0.6517  5 O 1.97-2.19
Fe3 0.6118 0.0277 0.7522  5 O 1.94-2.05
Fe4 0.3882 0.9723 0.2478  5 O 1.94-2.05
Fe5 0.5609 0.2556 0.3483  5 O 1.97-2.19
Fe6 0.1118 0.9723 0.7478  5 O 1.94-2.05
Fe7 0.0609 0.7444 0.1517  5 O 1.97-2.19
Fe8 0.8882 0.0277 0.2522  5 O 1.94-2.05

=====

Record 8
First-principles (PBE with a Hubbard U) data for a relaxed Li2Co2C2O7 crystal, as listed in the Materials Project database.

Values from the calculation:
Energy above the lowest structure with this stoichiometry: 0.44 eV per formula unit
Symmetry: No. 14
Total energy: -6.610 eV/atom
Corrected total energy (MP2020 scheme): -376.1 eV per cell
Formation enthalpy at 0 K: -22.893 eV/f.u.
Total magnetic moment: 24.00 μB per cell

a = 6.1898 Å, b = 8.9718 Å, c = 10.4567 Å
α = 68.00°, β = 90.00°, γ = 90.00°
Closest atoms and distances in Å follow each position.
Element x y z (fractional)
O1 0.5915 0.2570 0.3292  1 C 1.31
O2 0.2160 0.9637 0.5519  1 C 1.30
O3 0.7762 0.9801 0.7731  1 C 1.29
O4 0.3896 0.7921 0.3591  1 C 1.30
O5 0.7840 0.0363 0.4481  1 C 1.30
O6 0.0092 0.4212 0.1367  1 C 1.31
O7 0.4908 0.9212 0.1367  1 C 1.31
O8 0.9085 0.7570 0.3292  1 C 1.31
O9 0.2488 0.3890 0.7803  1 C 1.28
O10 0.2762 0.5199 0.2269  1 C 1.29
O11 0.8896 0.7079 0.6409  1 C 1.30
O12 0.7238 0.4801 0.7731  1 C 1.29
O13 0.2238 0.0199 0.2269  1 C 1.29
O14 0.9908 0.5788 0.8633  1 C 1.31
O15 0.1104 0.2921 0.3591  1 C 1.30
O16 0.5740 0.6551 0.9746  4 Co 1.97-2.07
O17 0.6104 0.2079 0.6409  1 C 1.30
O18 0.4260 0.3449 0.0254  4 Co 1.97-2.07
O19 0.2840 0.4637 0.5519  1 C 1.30
O20 0.2512 0.8890 0.7803  1 C 1.28
O21 0.0915 0.2430 0.6708  1 C 1.31
O22 0.7160 0.5363 0.4481  1 C 1.30
O23 0.0740 0.8449 0.0254  4 Co 1.97-2.07
O24 0.9260 0.1551 0.9746  4 Co 1.97-2.07
O25 0.5092 0.0788 0.8633  1 C 1.31
O26 0.7512 0.6110 0.2197  1 C 1.28
O27 0.7488 0.1110 0.2197  1 C 1.28
O28 0.4085 0.7430 0.6708  1 C 1.31
Li1 0.8801 0.2661 0.5089  3 O 2.07-2.10
Li2 0.5996 0.4280 0.6286  4 O 1.90-2.09
Li3 0.4004 0.5720 0.3714  4 O 1.90-2.09
Li4 0.3801 0.2339 0.4911  3 O 2.07-2.10
Li5 0.0996 0.0720 0.3714  4 O 1.90-2.09
Li6 0.1199 0.7339 0.4911  3 O 2.07-2.10
Li7 0.9004 0.9280 0.6286  4 O 1.90-2.09
Li8 0.6199 0.7661 0.5089  3 O 2.07-2.10
C1 0.6322 0.0892 0.7583  3 O 1.29-1.31
C2 0.3678 0.9108 0.2417  3 O 1.29-1.31
C3 0.1322 0.4108 0.2417  3 O 1.29-1.31
C4 0.2940 0.8661 0.6691  3 O 1.28-1.31
C5 0.7060 0.1339 0.3309  3 O 1.28-1.31
C6 0.8678 0.5892 0.7583  3 O 1.29-1.31
C7 0.2060 0.3661 0.6691  3 O 1.28-1.31
C8 0.7940 0.6339 0.3309  3 O 1.28-1.31
Co1 0.9445 0.9496 0.1464  5 O 2.00-2.23
Co2 0.4445 0.5504 0.8536  5 O 2.00-2.23
Co3 0.1005 0.3330 0.9862  4 O 1.97-2.20
Co4 0.0555 0.0504 0.8536  5 O 2.00-2.23
Co5 0.5555 0.4496 0.1464  5 O 2.00-2.23
Co6 0.3995 0.8330 0.9862  4 O 1.97-2.20
Co7 0.8995 0.6670 0.0138  4 O 1.97-2.20
Co8 0.6005 0.1670 0.0138  4 O 1.97-2.20